[1]
# HfH3

HfH3 after structural relaxation (PBE, Materials Project).

extended XYZ file:
```
8
Lattice="2.375 -4.113 0.000 2.375 4.113 0.000 0.000 0.000 3.203" Properties=species:S:1:pos:R:3 pbc="T T T"
Hf 2.375 1.371 2.402
Hf 2.375 -1.371 0.801
H 2.375 -2.624 2.402
H 3.460 0.745 0.801
H 2.375 2.624 0.801
H 3.460 -0.745 2.402
H 1.290 -0.745 2.402
H 1.290 0.745 0.801
```

Raw total energy, hartree per atom: -0.193
Density, Mg/m³: 9.6
Space group: No. 194

[2]
# BaSb3O6

BaSb3O6 after structural relaxation (PBE, Materials Project).

extended XYZ file:
```
40
Lattice="5.509 0.000 0.000 0.000 9.557 0.000 0.000 1.765 14.326" Properties=species:S:1:pos:R:3 pbc="T T T"
O 3.678 9.209 1.134
O 5.164 8.271 3.494
O 1.831 2.113 13.192
O 2.912 3.058 6.313
O 3.335 2.700 1.184
O 4.929 3.582 8.347
O 5.368 4.421 1.236
O 0.141 6.901 13.090
O 2.174 8.622 13.142
O 0.158 7.382 0.850
O 2.434 8.222 3.579
O 0.321 9.105 10.742
O 3.100 9.153 10.657
O 0.923 1.231 6.029
O 2.896 5.303 8.398
O 5.189 2.217 3.584
O 3.075 3.100 10.747
O 2.597 8.264 8.013
O 2.410 2.169 3.669
O 0.580 7.740 5.979
O 0.345 3.051 10.832
O 5.352 3.941 13.476
O 4.586 10.091 8.297
O 2.614 6.019 5.927
Sb 1.127 2.844 5.042
Sb 3.971 4.615 6.830
Sb 1.539 6.707 7.496
Sb 1.628 3.726 12.205
Sb 1.708 7.835 11.368
Sb 4.382 8.479 9.283
Sb 4.293 5.497 13.993
Sb 3.802 3.487 2.958
Sb 4.462 4.369 10.121
Sb 1.216 5.825 0.333
Sb 1.047 6.953 4.205
Sb 3.882 7.596 2.121
Ba 1.214 0.681 1.574
Ba 4.296 10.641 12.752
Ba 1.541 1.563 8.736
Ba 3.968 9.759 5.589
```

Raw total energy, hartree per atom: -0.221
Density, Mg/m³: 5.3
Space group: No. 14

[3]
# BaCu2Sb2

BaCu2Sb2 after structural relaxation (PBE, Materials Project).

extended XYZ file:
```
10
Lattice="-0.035 -4.138 -2.193 3.753 -1.336 2.461 -6.490 -4.030 7.710" Properties=species:S:1:pos:R:3 pbc="T T T"
Sb -5.693 -5.593 5.646
Sb 1.062 -1.174 2.198
Sb -1.386 -4.752 3.989
Sb -3.245 -2.015 3.855
Cu -4.110 -4.610 3.765
Cu 0.000 0.000 0.000
Cu -0.521 -2.157 4.079
Cu 1.859 -2.737 0.134
Ba -3.064 -3.736 7.099
Ba -1.567 -3.031 0.744
```

Raw total energy, hartree per atom: -0.152
Density, Mg/m³: 7.1
Space group: No. 129

[4]
# TbErO3

TbErO3 after structural relaxation (PBE, Materials Project).

extended XYZ file:
```
20
Lattice="5.682 0.000 0.000 0.000 5.938 0.000 0.000 0.000 8.403" Properties=species:S:1:pos:R:3 pbc="T T T"
O 4.649 4.837 0.645
O 3.874 1.868 0.645
O 1.808 4.069 4.846
O 1.808 4.069 7.758
O 4.854 3.413 6.302
O 4.649 4.837 3.556
O 0.828 2.525 2.101
O 1.033 1.101 4.846
O 1.033 1.101 7.758
O 3.668 0.444 6.302
O 2.013 5.494 2.101
O 3.874 1.868 3.556
Er 0.000 2.969 0.000
Er 0.000 2.969 4.201
Er 2.841 0.000 0.000
Er 2.841 0.000 4.201
Tb 0.095 5.621 6.302
Tb 2.746 2.652 6.302
Tb 5.587 0.317 2.101
Tb 2.936 3.286 2.101
```

Raw total energy, hartree per atom: -0.306
Density, Mg/m³: 8.8
Space group: No. 62

[5]
# ZnSn2O4

ZnSn2O4 after structural relaxation (PBE, Materials Project).

extended XYZ file:
```
28
Lattice="3.288 0.000 0.000 0.000 10.011 0.000 0.000 0.000 11.728" Properties=species:S:1:pos:R:3 pbc="T T T"
O 0.822 0.313 9.186
O 0.822 2.024 4.310
O 2.466 2.982 10.174
O 0.822 9.346 5.006
O 0.822 1.096 0.114
O 0.822 7.030 1.554
O 2.466 4.692 3.322
O 0.822 6.102 5.749
O 2.466 7.987 7.418
O 2.466 0.665 6.722
O 2.466 5.671 10.870
O 2.466 8.915 11.613
O 0.822 4.340 0.858
O 0.822 5.319 8.406
O 2.466 9.698 2.542
O 2.466 3.909 5.978
Zn 0.822 7.600 9.922
Zn 2.466 7.417 4.058
Zn 2.466 2.412 1.806
Zn 0.822 2.594 7.670
Sn 0.822 9.172 1.240
Sn 2.466 0.839 10.487
Sn 2.466 5.663 1.343
Sn 2.466 0.657 4.521
Sn 0.822 4.166 4.624
Sn 0.822 9.354 7.206
Sn 0.822 4.349 10.385
Sn 2.466 5.845 7.104
```

Energy above the lowest structure with this stoichiometry, eV/f.u.: 2.08
Raw total energy, hartree per atom: -0.193
Density, Mg/m³: 6.3
Space group: No. 62

[6]
# H2S

H2S after structural relaxation (PBE, Materials Project).

extended XYZ file:
```
24
Lattice="-6.016 -3.318 3.934 -3.387 7.022 -1.377 2.472 -3.996 -6.372" Properties=species:S:1:pos:R:3 pbc="T T T"
S -4.151 -2.639 -0.816
S -1.549 0.490 -6.405
S -7.081 2.871 1.681
S -5.793 0.829 -1.252
S 0.149 -3.162 -5.496
S -1.138 -1.121 -2.563
S -2.781 2.347 -2.999
S -5.383 -0.782 2.590
H -3.614 -1.042 -3.777
H -2.615 1.806 -4.228
H -4.317 -2.098 0.413
H -5.691 0.071 -2.370
H -5.065 4.180 -0.840
H -3.149 3.556 -3.482
H -7.873 2.119 2.480
H -3.755 3.186 0.238
H -3.176 -3.478 -4.053
H -1.240 -0.363 -1.445
H 0.942 -2.410 -6.295
H -3.318 0.750 -0.038
H -0.259 -0.272 -3.146
H -6.673 -0.020 -0.669
H -3.783 -3.848 -0.333
H -1.867 -4.472 -2.975
```

Energy above the lowest structure with this stoichiometry, eV/f.u.: 0.03
Raw total energy, hartree per atom: -0.139
Density, Mg/m³: 1.2
Space group: No. 73